Record 1
The following is a GGA+U calculation of a relaxed structure of Li2V3O6, from Materials Project.

- Total energy after the MP2020 corrections: -7.9772 eV/atom
- ρ: 3.8 g/cm3
- SG: C2 (5)
- Calculated formation energy: -2.4538 eV/atom

Unit cell a=5.1727 b=5.1724 c=10.0719 alpha=95.47 beta=95.47 gamma=120.32
Fractional coordinates of all 22 atoms:
Li: 0.1641 0.8268 0.5003
Li: 0.6732 0.3359 0.9997
Li: 0.3324 0.6744 0.0000
Li: 0.8256 0.1676 0.5000
V: 0.2504 0.2497 0.7500
V: 0.5876 0.9124 0.7499
V: 0.9146 0.5855 0.7499
V: 0.7499 0.7500 0.2500
V: 0.0850 0.4149 0.2500
V: 0.4148 0.0851 0.2501
O: 0.4026 0.4030 0.1418
O: 0.8891 0.8754 0.6413
O: 0.0969 0.0973 0.3583
O: 0.6247 0.6111 0.8586
O: 0.0377 0.6999 0.1418
O: 0.5500 0.2064 0.6419
O: 0.6993 0.0372 0.1412
O: 0.1911 0.5456 0.6411
O: 0.8000 0.4622 0.3583
O: 0.2937 0.9501 0.8581
O: 0.4627 0.8006 0.3588
O: 0.9545 0.3091 0.8588

Record 2
The following is a GGA+U calculation of a relaxed structure of Li2MnF5, from Materials Project.

- Total energy after the MP2020 corrections: -5.7532 eV/atom
- ρ: 2.8 g/cm3
- SG: Pnma (62)
- Calculated formation energy: -2.9341 eV/atom

Unit cell a=5.4849 b=7.5806 c=9.4717 alpha=90.00 beta=90.00 gamma=90.00
Fractional coordinates of all 32 atoms:
Li: 0.7500 0.9273 0.2770
Li: 0.2500 0.0769 0.4338
Li: 0.7500 0.4231 0.9338
Li: 0.2500 0.5727 0.7770
Li: 0.7500 0.4273 0.2230
Li: 0.2500 0.5769 0.0662
Li: 0.7500 0.9231 0.5662
Li: 0.2500 0.0727 0.7230
Mn: 0.2500 0.1834 0.0505
Mn: 0.7500 0.3166 0.5505
Mn: 0.2500 0.6834 0.4495
Mn: 0.7500 0.8166 0.9495
F: 0.0000 0.0000 0.0000
F: 0.5000 0.0000 0.0000
F: 0.2500 0.1166 0.2359
F: 0.0050 0.1306 0.5878
F: 0.4950 0.1306 0.5878
F: 0.7500 0.2415 0.3616
F: 0.2500 0.2585 0.8616
F: 0.9950 0.3694 0.0878
F: 0.5050 0.3694 0.0878
F: 0.7500 0.3834 0.7359
F: 0.0000 0.5000 0.5000
F: 0.5000 0.5000 0.5000
F: 0.2500 0.6166 0.2641
F: 0.4950 0.6306 0.9122
F: 0.0050 0.6306 0.9122
F: 0.7500 0.7415 0.1384
F: 0.2500 0.7585 0.6384
F: 0.9950 0.8694 0.4122
F: 0.5050 0.8694 0.4122
F: 0.7500 0.8834 0.7641

Record 3
The following is a GGA+U calculation of a relaxed structure of MgAlCr3FeO8, from Materials Project.

- Total energy after the MP2020 corrections: -8.3919 eV/atom
- ρ: 4.3 g/cm3
- SG: R3m (160)
- Calculated formation energy: -2.5092 eV/atom

Unit cell a=5.9111 b=5.9111 c=5.9111 alpha=61.04 beta=61.04 gamma=61.04
Fractional coordinates of all 14 atoms:
Mg: 0.1242 0.1242 0.1242
Al: 0.4994 0.4994 0.4994
Cr: 0.0007 0.5000 0.5000
Cr: 0.5000 0.5000 0.0007
Cr: 0.5000 0.0007 0.5000
Fe: 0.8760 0.8760 0.8760
O: 0.2907 0.7289 0.7289
O: 0.7289 0.7289 0.2907
O: 0.7289 0.2907 0.7289
O: 0.7398 0.7398 0.7398
O: 0.7136 0.2682 0.2682
O: 0.2682 0.2682 0.7136
O: 0.2682 0.7136 0.2682
O: 0.2614 0.2614 0.2614

Record 4
The following is a GGA+U calculation of a relaxed structure of Li3Mn2P3O12, from Materials Project.

- Total energy after the MP2020 corrections: -7.5399 eV/atom
- ρ: 2.9 g/cm3
- SG: P2_1/c (14)
- Calculated formation energy: -2.5566 eV/atom

Unit cell a=8.7874 b=8.5559 c=14.8803 alpha=56.85 beta=90.00 gamma=90.00
Fractional coordinates of all 80 atoms:
Li: 0.9343 0.3578 0.7055
Li: 0.2228 0.0444 0.1764
Li: 0.2655 0.3901 0.8133
Li: 0.7655 0.6099 0.6867
Li: 0.7228 0.9556 0.3236
Li: 0.4343 0.6422 0.7945
Li: 0.5657 0.3578 0.2055
Li: 0.2772 0.0444 0.6764
Li: 0.2345 0.3901 0.3133
Li: 0.7345 0.6099 0.1867
Li: 0.7772 0.9556 0.8236
Li: 0.0657 0.6422 0.2945
Mn: 0.4576 0.6474 0.6013
Mn: 0.9576 0.3526 0.8987
Mn: 0.5429 0.1331 0.1110
Mn: 0.0429 0.8669 0.3890
Mn: 0.9571 0.1331 0.6110
Mn: 0.4571 0.8669 0.8890
Mn: 0.0424 0.6474 0.1013
Mn: 0.5424 0.3526 0.3987
P: 0.7503 0.5354 0.5039
P: 0.6073 0.2473 0.8589
P: 0.9037 0.9528 0.1533
P: 0.4037 0.0472 0.3467
P: 0.1073 0.7527 0.6411
P: 0.2503 0.4646 0.9961
P: 0.7497 0.5354 0.0039
P: 0.8927 0.2473 0.3589
P: 0.5963 0.9528 0.6533
P: 0.0963 0.0472 0.8467
P: 0.3927 0.7527 0.1411
P: 0.2497 0.4646 0.4961
O: 0.1314 0.6219 0.4287
O: 0.3384 0.4915 0.5762
O: 0.0927 0.2313 0.8473
O: 0.4096 0.9082 0.1646
O: 0.6506 0.5334 0.5911
O: 0.5996 0.1569 0.9808
O: 0.7720 0.3309 0.8175
O: 0.0260 0.9096 0.2420
O: 0.8266 0.7267 0.4344
O: 0.7453 0.9676 0.1890
O: 0.9590 0.1209 0.0487
O: 0.4868 0.4027 0.7995
O: 0.9868 0.5973 0.7005
O: 0.4590 0.8791 0.4513
O: 0.2453 0.0324 0.3110
O: 0.3266 0.2733 0.0656
O: 0.5260 0.0904 0.2580
O: 0.2720 0.6691 0.6825
O: 0.0996 0.8431 0.5192
O: 0.1506 0.4666 0.9089
O: 0.5927 0.7687 0.6527
O: 0.9096 0.0918 0.3354
O: 0.8384 0.5085 0.9238
O: 0.6314 0.3781 0.0713
O: 0.3686 0.6219 0.9287
O: 0.1616 0.4915 0.0762
O: 0.0904 0.9082 0.6646
O: 0.4073 0.2313 0.3473
O: 0.8494 0.5334 0.0911
O: 0.9004 0.1569 0.4808
O: 0.7280 0.3309 0.3175
O: 0.4740 0.9096 0.7420
O: 0.6734 0.7267 0.9344
O: 0.7547 0.9676 0.6890
O: 0.5410 0.1209 0.5487
O: 0.0132 0.4027 0.2995
O: 0.5132 0.5973 0.2005
O: 0.0410 0.8791 0.9513
O: 0.2547 0.0324 0.8110
O: 0.1734 0.2733 0.5656
O: 0.9740 0.0904 0.7580
O: 0.2280 0.6691 0.1825
O: 0.4004 0.8431 0.0192
O: 0.3494 0.4666 0.4089
O: 0.5904 0.0918 0.8354
O: 0.9073 0.7687 0.1527
O: 0.6616 0.5085 0.4238
O: 0.8686 0.3781 0.5713

Record 5
The following is a GGA+U calculation of a relaxed structure of Sr2LaMnCoO7, from Materials Project.

- Total energy after the MP2020 corrections: -7.5766 eV/atom
- ρ: 5.9 g/cm3
- SG: P1 (1)
- Calculated formation energy: -2.6415 eV/atom

Unit cell a=5.4578 b=10.6129 c=5.4579 alpha=75.16 beta=90.00 gamma=89.94
Fractional coordinates of all 24 atoms:
Sr: 0.0008 0.0044 0.4963
Sr: 0.5014 0.0047 0.9969
Sr: 0.9999 0.3644 0.3179
Sr: 0.4999 0.3643 0.8179
La: 0.5001 0.6341 0.1858
La: 0.9972 0.6340 0.6826
Mn: 0.5003 0.1952 0.4022
Mn: 0.0007 0.1952 0.9018
Co: 0.9996 0.8085 0.0961
Co: 0.4993 0.8086 0.5964
O: 0.9970 0.6008 0.2028
O: 0.5035 0.6006 0.6961
O: 0.4995 0.3950 0.3026
O: 0.0002 0.3949 0.8029
O: 0.5008 0.0106 0.4940
O: 0.0024 0.0106 0.9921
O: 0.7559 0.7974 0.8605
O: 0.2407 0.7976 0.3453
O: 0.7418 0.7984 0.3590
O: 0.2568 0.7952 0.8454
O: 0.7505 0.1965 0.6514
O: 0.2503 0.1964 0.1514
O: 0.7506 0.1962 0.1513
O: 0.2507 0.1964 0.6512

Record 6
The following is a GGA+U calculation of a relaxed structure of CaVSiO5, from Materials Project.

- Total energy after the MP2020 corrections: -8.2620 eV/atom
- ρ: 3.5 g/cm3
- Calculated formation energy: -3.1052 eV/atom

Unit cell a=5.4995 b=7.4828 c=9.9097 alpha=75.87 beta=91.17 gamma=72.16
Fractional coordinates of all 32 atoms:
Ca: 0.1269 0.5411 0.2089
Ca: 0.6270 0.0411 0.7089
Ca: 0.8732 0.4589 0.7911
Ca: 0.3731 0.9590 0.2910
V: 0.5000 0.5000 0.5001
V: 0.2503 0.7498 0.7498
V: 0.0001 0.9999 0.9998
V: 0.7500 0.2500 0.2500
Si: 0.6011 0.7167 0.0339
Si: 0.1011 0.2168 0.5339
Si: 0.3988 0.2833 0.9661
Si: 0.8989 0.7833 0.4661
O: 0.5266 0.4069 0.3425
O: 0.0268 0.9067 0.8424
O: 0.4735 0.5932 0.6576
O: 0.9732 0.0933 0.1575
O: 0.7895 0.8302 0.0799
O: 0.2896 0.3302 0.5799
O: 0.2103 0.1699 0.9203
O: 0.7104 0.6698 0.4201
O: 0.7639 0.4861 0.1055
O: 0.2642 0.9862 0.6053
O: 0.2359 0.5138 0.8945
O: 0.7357 0.0139 0.3947
O: 0.5603 0.7553 0.8622
O: 0.0601 0.2554 0.3622
O: 0.4398 0.2448 0.1378
O: 0.9400 0.7446 0.6378
O: 0.3231 0.7847 0.0994
O: 0.8232 0.2848 0.5994
O: 0.6767 0.2153 0.9006
O: 0.1769 0.7153 0.4006

Record 7
The following is a GGA+U calculation of a relaxed structure of LaFeMoO6, from Materials Project.

- Total energy after the MP2020 corrections: -8.3949 eV/atom
- ρ: 5.3 g/cm3
- SG: Pc (7)
- Calculated formation energy: -2.4017 eV/atom

Unit cell a=5.5654 b=5.5168 c=9.5775 alpha=54.87 beta=90.00 gamma=90.00
Fractional coordinates of all 18 atoms:
La: 0.2196 0.7461 0.2475
La: 0.7804 0.7461 0.7475
Fe: 0.7455 0.9983 0.9980
Fe: 0.2545 0.9983 0.4980
Mo: 0.7433 0.5003 0.4980
Mo: 0.2567 0.5003 0.9980
O: 0.2407 0.7864 0.7556
O: 0.0252 0.2588 0.9774
O: 0.0110 0.7011 0.5263
O: 0.9890 0.7011 0.0263
O: 0.9748 0.2588 0.4774
O: 0.7593 0.7864 0.2556
O: 0.7420 0.1855 0.7453
O: 0.5363 0.7422 0.5340
O: 0.5305 0.3207 0.9681
O: 0.4695 0.3207 0.4681
O: 0.4637 0.7422 0.0340
O: 0.2580 0.1855 0.2453

Record 8
The following is a GGA+U calculation of a relaxed structure of K2WC2O9, from Materials Project.

- Total energy after the MP2020 corrections: -7.1670 eV/atom
- ρ: 3.1 g/cm3
- SG: P2_1/c (14)
- Calculated formation energy: -1.5836 eV/atom

Unit cell a=9.0833 b=7.1993 c=15.3143 alpha=64.90 beta=90.00 gamma=90.00
Fractional coordinates of all 56 atoms:
K: 0.0704 0.4927 0.2700
K: 0.8489 0.7918 0.9761
K: 0.5704 0.5073 0.2300
K: 0.3489 0.2082 0.5239
K: 0.9296 0.5073 0.7300
K: 0.6511 0.7918 0.4761
K: 0.1511 0.2082 0.0239
K: 0.4296 0.4927 0.7700
W: 0.7038 0.0963 0.6671
W: 0.2038 0.9037 0.8329
W: 0.7962 0.0963 0.1671
W: 0.2962 0.9037 0.3329
C: 0.2897 0.7015 0.0456
C: 0.5665 0.2553 0.0155
C: 0.7897 0.2985 0.4544
C: 0.9335 0.2553 0.5155
C: 0.2103 0.7015 0.5456
C: 0.0665 0.7447 0.4845
C: 0.7103 0.2985 0.9544
C: 0.4335 0.7447 0.9845
O: 0.5875 0.1746 0.1093
O: 0.8283 0.2294 0.0056
O: 0.7671 0.0053 0.7867
O: 0.9329 0.8810 0.1688
O: 0.2329 0.9947 0.2133
O: 0.1738 0.6053 0.8632
O: 0.7966 0.3909 0.3655
O: 0.3283 0.7706 0.4944
O: 0.1717 0.7706 0.9944
O: 0.7209 0.8418 0.6449
O: 0.6738 0.3947 0.6368
O: 0.2966 0.6091 0.1345
O: 0.4654 0.7286 0.3348
O: 0.2209 0.1582 0.8551
O: 0.0559 0.2950 0.4772
O: 0.5346 0.2714 0.6652
O: 0.6717 0.2294 0.5056
O: 0.2671 0.9947 0.7133
O: 0.8262 0.3947 0.1368
O: 0.9441 0.7050 0.5228
O: 0.7329 0.0053 0.2867
O: 0.0875 0.8254 0.3907
O: 0.9654 0.2714 0.1652
O: 0.9125 0.1746 0.6093
O: 0.7791 0.8418 0.1449
O: 0.4329 0.1190 0.3312
O: 0.5671 0.8810 0.6688
O: 0.2791 0.1582 0.3551
O: 0.0346 0.7286 0.8348
O: 0.7034 0.3909 0.8655
O: 0.4125 0.8254 0.8907
O: 0.4441 0.2950 0.9772
O: 0.5559 0.7050 0.0228
O: 0.2034 0.6091 0.6345
O: 0.3262 0.6053 0.3632
O: 0.0671 0.1190 0.8312